# PW4Cl11

A geometry-optimized PW4Cl11 structure (r2SCAN, Materials Project).

Lattice parameters (Å, degrees): 8.585 8.585 11.431 89.31 89.31 70.81
Positions (direct):
Cl: 0.820 0.481 0.988
Cl: 0.820 0.481 0.515
Cl: 0.074 0.756 0.247
Cl: 0.519 0.180 0.012
Cl: 0.180 0.519 0.012
Cl: 0.244 0.926 0.753
Cl: 0.926 0.244 0.753
Cl: 0.607 0.985 0.749
Cl: 0.519 0.180 0.485
Cl: 0.531 0.531 0.254
Cl: 0.756 0.074 0.247
Cl: 0.481 0.820 0.988
Cl: 0.481 0.820 0.515
Cl: 0.873 0.873 0.503
Cl: 0.127 0.127 0.007
Cl: 0.180 0.519 0.485
Cl: 0.873 0.873 0.993
Cl: 0.015 0.393 0.251
Cl: 0.469 0.469 0.746
Cl: 0.127 0.127 0.497
Cl: 0.393 0.015 0.251
Cl: 0.985 0.607 0.749
W: 0.353 0.094 0.628
W: 0.094 0.353 0.628
W: 0.647 0.906 0.372
W: 0.647 0.906 0.127
W: 0.906 0.647 0.127
W: 0.094 0.353 0.873
W: 0.353 0.094 0.873
W: 0.906 0.647 0.372
P: 0.325 0.325 0.749
P: 0.675 0.675 0.251

- DFT total energy (eV per atom) = -18.513
- ρ (g/cm³) = 4.83
- symmetry = C2/m